A plane-wave DFT calculation with PBE-GGA was carried out for crystalline Na3TaZnSi2SO12 at its relaxed geometry.

- Magnetic moment: 0.00 μB/cell
- MP2020-corrected energy: -7.110 eV per atom
- ΔE_f: -2.54 eV/atom
- Uncorrected energy: -133.96 eV per formula unit

Cell lengths 9.057, 9.057, 22.357 Å; angles 88.42, 91.58, 119.19 degrees
Positions (direct):
O  0.805  0.837  0.193
O  0.691  0.170  0.744
O  0.163  0.195  0.693
O  0.802  0.973  0.690
O  0.496  0.862  0.360
O  0.505  0.155  0.923
O  0.027  0.198  0.190
O  0.851  0.374  0.924
O  0.675  0.516  0.247
O  0.464  0.130  0.242
O  0.650  0.511  0.641
O  0.358  0.503  0.077
O  0.224  0.184  0.811
O  0.220  0.018  0.307
O  0.150  0.658  0.081
O  0.164  0.975  0.911
O  0.469  0.306  0.023
O  0.172  0.709  0.753
O  0.512  0.828  0.756
O  0.841  0.308  0.532
O  0.172  0.488  0.256
O  0.982  0.780  0.807
O  0.626  0.149  0.424
O  0.361  0.865  0.857
O  0.649  0.113  0.140
O  0.823  0.017  0.808
O  0.130  0.463  0.576
O  0.692  0.159  0.032
O  0.138  0.504  0.860
O  0.507  0.641  0.865
O  0.291  0.828  0.253
O  0.959  0.816  0.090
O  0.830  0.529  0.026
O  0.870  0.536  0.742
O  0.797  0.797  0.909
O  0.026  0.826  0.699
O  0.497  0.642  0.577
O  0.471  0.170  0.526
O  0.957  0.161  0.586
O  0.816  0.776  0.311
O  0.174  0.974  0.199
O  0.624  0.494  0.920
O  0.694  0.531  0.523
O  0.359  0.493  0.365
O  0.483  0.110  0.645
O  0.008  0.183  0.914
O  0.839  0.043  0.086
O  0.149  0.443  0.978
O  0.537  0.870  0.076
O  0.890  0.517  0.145
O  0.293  0.483  0.757
O  0.484  0.325  0.747
O  0.203  0.203  0.409
O  0.887  0.351  0.640
O  0.489  0.350  0.141
O  0.845  0.495  0.423
O  0.025  0.836  0.411
O  0.179  0.162  0.090
O  0.342  0.850  0.581
O  0.983  0.177  0.308
O  0.506  0.376  0.420
O  0.315  0.446  0.474
O  0.317  0.844  0.974
O  0.517  0.707  0.257
O  0.817  0.992  0.414
O  0.184  0.041  0.590
O  0.838  0.821  0.590
O  0.135  0.639  0.357
O  0.830  0.309  0.244
O  0.557  0.851  0.478
O  0.156  0.683  0.474
O  0.554  0.685  0.974
Ta  0.661  0.332  0.980
Ta  0.668  0.339  0.480
Ta  0.335  0.672  0.813
Ta  0.002  0.006  0.146
Ta  0.994  0.998  0.646
Ta  0.328  0.665  0.313
Na  0.355  0.679  0.658
Na  0.722  0.696  0.413
Na  0.688  0.346  0.324
Na  0.654  0.312  0.824
Na  0.638  0.945  0.579
Na  0.995  0.685  0.919
Na  0.971  0.612  0.246
Na  0.648  0.672  0.086
Na  0.662  0.018  0.253
Na  0.055  0.362  0.079
Na  0.388  0.029  0.746
Na  0.315  0.005  0.419
Na  0.328  0.352  0.586
Na  0.021  0.012  0.991
Na  0.321  0.645  0.158
Na  0.988  0.979  0.491
Na  0.304  0.278  0.913
Na  0.982  0.338  0.753
S  0.958  0.332  0.586
S  0.002  0.709  0.752
S  0.668  0.042  0.086
S  0.291  0.998  0.252
S  0.625  0.665  0.919
S  0.335  0.375  0.419
Si  0.367  0.037  0.586
Si  0.041  0.666  0.418
Si  0.374  0.332  0.084
Si  0.034  0.370  0.919
Si  0.334  0.959  0.918
Si  0.668  0.626  0.584
Si  0.630  0.966  0.419
Si  0.707  0.999  0.751
Si  0.001  0.293  0.251
Si  0.701  0.703  0.253
Si  0.297  0.299  0.753
Si  0.963  0.633  0.086
Zn  0.680  0.368  0.184
Zn  0.632  0.320  0.684
Zn  0.013  0.035  0.851
Zn  0.965  0.987  0.351
Zn  0.347  0.701  0.517
Zn  0.299  0.653  0.017